Record 1
Na2Ca2S3O12 | GGA-PBE | optimized geometry

a b c (Å): 9.333 9.333 24.103
angles (deg): 89.83 90.17 120.55
Atoms (fractional coordinates):
Na (0.333, 0.667, 0.167)
Na (0.000, 0.000, 0.000)
Na (0.637, 0.637, 0.750)
Na (0.667, 0.333, 0.833)
Na (0.000, 0.000, 0.500)
Na (0.970, 0.304, 0.417)
Na (0.667, 0.333, 0.333)
Na (0.030, 0.696, 0.583)
Na (0.363, 0.363, 0.250)
Na (0.304, 0.970, 0.083)
Na (0.696, 0.030, 0.917)
Na (0.333, 0.667, 0.667)
O (0.494, 0.132, 0.922)
O (0.535, 0.839, 0.755)
O (0.190, 0.986, 0.914)
O (0.682, 0.129, 0.029)
O (0.828, 0.799, 0.588)
O (0.523, 0.653, 0.580)
O (0.144, 0.663, 0.080)
O (0.978, 0.787, 0.796)
O (0.839, 0.535, 0.745)
O (0.004, 0.189, 0.913)
O (0.891, 0.541, 0.134)
O (0.546, 0.689, 0.963)
O (0.506, 0.868, 0.078)
O (0.558, 0.875, 0.467)
O (0.454, 0.311, 0.037)
O (0.986, 0.190, 0.586)
O (0.329, 0.477, 0.753)
O (0.538, 0.652, 0.863)
O (0.213, 0.022, 0.296)
O (0.442, 0.125, 0.533)
O (0.143, 0.680, 0.753)
O (0.856, 0.337, 0.920)
O (0.022, 0.213, 0.204)
O (0.355, 0.880, 0.870)
O (0.161, 0.465, 0.255)
O (0.792, 0.775, 0.300)
O (0.189, 0.004, 0.587)
O (0.645, 0.120, 0.130)
O (0.880, 0.355, 0.630)
O (0.477, 0.347, 0.420)
O (0.689, 0.546, 0.537)
O (0.875, 0.558, 0.033)
O (0.320, 0.857, 0.253)
O (0.348, 0.462, 0.363)
O (0.465, 0.161, 0.245)
O (0.671, 0.523, 0.247)
O (0.109, 0.459, 0.866)
O (0.652, 0.538, 0.637)
O (0.201, 0.172, 0.088)
O (0.462, 0.348, 0.137)
O (0.799, 0.828, 0.912)
O (0.132, 0.494, 0.578)
O (0.129, 0.682, 0.471)
O (0.311, 0.454, 0.463)
O (0.541, 0.891, 0.366)
O (0.680, 0.143, 0.747)
O (0.871, 0.318, 0.529)
O (0.337, 0.856, 0.580)
O (0.172, 0.201, 0.412)
O (0.985, 0.204, 0.304)
O (0.653, 0.523, 0.920)
O (0.204, 0.985, 0.196)
O (0.225, 0.208, 0.800)
O (0.015, 0.796, 0.696)
O (0.868, 0.506, 0.422)
O (0.318, 0.871, 0.971)
O (0.996, 0.811, 0.087)
O (0.663, 0.144, 0.420)
O (0.787, 0.978, 0.704)
O (0.775, 0.792, 0.200)
O (0.014, 0.810, 0.414)
O (0.796, 0.015, 0.804)
O (0.477, 0.329, 0.747)
O (0.857, 0.320, 0.247)
O (0.459, 0.109, 0.634)
O (0.811, 0.996, 0.413)
O (0.208, 0.225, 0.700)
O (0.810, 0.014, 0.086)
O (0.523, 0.671, 0.253)
O (0.125, 0.442, 0.967)
O (0.347, 0.477, 0.080)
O (0.120, 0.645, 0.370)
S (0.299, 0.003, 0.248)
S (0.639, 0.973, 0.417)
S (0.306, 0.306, 0.750)
S (0.632, 0.670, 0.914)
S (0.368, 0.330, 0.086)
S (0.034, 0.664, 0.419)
S (0.670, 0.632, 0.586)
S (0.361, 0.027, 0.583)
S (0.027, 0.361, 0.917)
S (0.973, 0.639, 0.083)
S (0.701, 0.997, 0.752)
S (0.664, 0.034, 0.081)
S (0.966, 0.336, 0.581)
S (0.694, 0.694, 0.250)
S (0.330, 0.368, 0.414)
S (0.003, 0.299, 0.252)
S (0.336, 0.966, 0.919)
S (0.997, 0.701, 0.748)
Ca (0.004, 0.014, 0.651)
Ca (0.663, 0.320, 0.682)
Ca (0.337, 0.680, 0.318)
Ca (0.653, 0.329, 0.484)
Ca (0.671, 0.347, 0.984)
Ca (0.329, 0.653, 0.016)
Ca (0.680, 0.337, 0.182)
Ca (0.986, 0.996, 0.151)
Ca (0.320, 0.663, 0.818)
Ca (0.996, 0.986, 0.349)
Ca (0.347, 0.671, 0.516)
Ca (0.014, 0.004, 0.849)

The value obtained for the total magnetization is 0.00 μB/cell.

---

Record 2
V8N | GGA-PBE | optimized geometry

a b c (Å): 8.698 8.698 2.990
angles (deg): 90.00 90.00 90.00
Atoms (fractional coordinates):
V (0.886, 0.373, 0.000)
V (0.114, 0.627, 0.000)
V (0.627, 0.114, 0.000)
V (0.386, 0.127, 0.500)
V (0.887, 0.113, 0.500)
V (0.373, 0.886, 0.000)
V (0.873, 0.614, 0.500)
V (0.614, 0.873, 0.500)
V (0.158, 0.158, 0.000)
V (0.127, 0.386, 0.500)
V (0.342, 0.658, 0.500)
V (0.658, 0.342, 0.500)
V (0.842, 0.842, 0.000)
V (0.613, 0.613, 0.000)
V (0.387, 0.387, 0.000)
V (0.113, 0.887, 0.500)
N (0.000, 0.000, 0.000)
N (0.500, 0.500, 0.500)

As for the symmetry: P4_2/mnm.

---

Record 3
ZrV2 | GGA-PBE | optimized geometry

a b c (Å): 5.208 5.208 8.457
angles (deg): 90.00 90.00 120.00
Atoms (fractional coordinates):
V (0.169, 0.338, 0.750)
V (0.338, 0.169, 0.250)
V (0.831, 0.662, 0.250)
V (0.169, 0.831, 0.750)
V (0.662, 0.831, 0.750)
V (0.000, 0.000, 0.000)
V (0.000, 0.000, 0.500)
V (0.831, 0.169, 0.250)
Zr (0.667, 0.333, 0.564)
Zr (0.333, 0.667, 0.436)
Zr (0.333, 0.667, 0.064)
Zr (0.667, 0.333, 0.936)

The value obtained for the total magnetization is 0.63 μB/cell. As for the symmetry: P6_3/mmc.

---

Record 4
Y5Ge2Sb2 | GGA-PBE | optimized geometry

a b c (Å): 8.570 8.570 7.944
angles (deg): 90.00 90.00 124.85
Atoms (fractional coordinates):
Ge (0.638, 0.638, 0.863)
Ge (0.138, 0.138, 0.637)
Ge (0.862, 0.862, 0.363)
Ge (0.362, 0.362, 0.137)
Sb (0.795, 0.205, 0.000)
Sb (0.705, 0.295, 0.500)
Sb (0.295, 0.705, 0.500)
Sb (0.205, 0.795, 0.000)
Y (0.037, 0.292, 0.336)
Y (0.208, 0.463, 0.836)
Y (0.463, 0.208, 0.836)
Y (0.708, 0.963, 0.664)
Y (0.292, 0.037, 0.336)
Y (0.500, 0.500, 0.500)
Y (0.000, 0.000, 0.000)
Y (0.792, 0.537, 0.164)
Y (0.537, 0.792, 0.164)
Y (0.963, 0.708, 0.664)

As for the symmetry: Cmce.

---

Record 5
ErBPd2Rh | GGA-PBE | optimized geometry

a b c (Å): 4.315 4.166 4.315
angles (deg): 90.00 90.00 90.00
Atoms (fractional coordinates):
Pd (0.000, 0.500, 0.500)
Pd (0.500, 0.500, 0.000)
Er (0.000, 0.000, 0.000)
Rh (0.500, 0.000, 0.500)
B (0.500, 0.500, 0.500)

The value obtained for the total magnetization is 0.00 μB/cell. As for the symmetry: P4/mmm.

---

Record 6
HoAsSe | GGA-PBE | optimized geometry

a b c (Å): 3.902 3.918 17.459
angles (deg): 90.00 90.00 90.00
Atoms (fractional coordinates):
Se (0.750, 0.768, 0.312)
Se (0.250, 0.232, 0.688)
Se (0.250, 0.268, 0.188)
Se (0.750, 0.732, 0.812)
As (0.250, 0.784, 0.498)
As (0.750, 0.284, 0.002)
As (0.750, 0.216, 0.502)
As (0.250, 0.716, 0.998)
Ho (0.750, 0.769, 0.139)
Ho (0.250, 0.269, 0.361)
Ho (0.250, 0.231, 0.861)
Ho (0.750, 0.731, 0.639)

As for the symmetry: Pnma.

---

no.,uncorrected energy (eV/atom),formation energy (kJ/mol of atoms)
1,-6.16,-238.2
2,-9.33,-35.7
3,-8.87,3.1
4,-6.54,-101.0
5,-6.52,-69.7
6,-5.67,-152.4